Version 1
First-principles (PBE) data for a geometry-optimized SiC structure, as listed in the Materials Project.

Properties
symmetry: P6_3mc (186)
maximum piezoelectric response: 0.1 C/m2

Cell: 3.095 3.095 15.185 Å, 90.00 90.00 120.00°
Sites, in units of the cell vectors:
Si: 0.333 0.667 0.833
Si: 0.667 0.333 0.333
Si: 0.667 0.333 0.667
Si: 0.333 0.667 0.167
Si: 0.000 0.000 0.500
Si: 0.000 0.000 0.000
C: 0.000 0.000 0.874
C: 0.000 0.000 0.374
C: 0.333 0.667 0.708
C: 0.667 0.333 0.208
C: 0.667 0.333 0.542
C: 0.333 0.667 0.042

Version 2
First-principles (PBE) data for a geometry-optimized SiC structure, as listed in the Materials Project.

Properties
symmetry: R3m (160)
M_tot: 0.00 μB/f.u.

Cell: 3.098 3.098 63.190 Å, 88.60 88.60 60.00°
Sites, in units of the cell vectors:
Si: 0.000 0.000 0.000
Si: 0.960 0.960 0.120
Si: 0.907 0.907 0.279
Si: 0.880 0.880 0.360
Si: 0.853 0.853 0.440
Si: 0.800 0.800 0.600
Si: 0.747 0.747 0.760
Si: 0.720 0.720 0.840
Si: 0.693 0.693 0.920
Si: 0.640 0.640 0.080
Si: 0.613 0.613 0.160
Si: 0.587 0.587 0.239
Si: 0.533 0.533 0.400
Si: 0.493 0.493 0.520
Si: 0.440 0.440 0.680
Si: 0.400 0.400 0.800
Si: 0.347 0.347 0.960
Si: 0.320 0.320 0.040
Si: 0.267 0.267 0.200
Si: 0.227 0.227 0.320
Si: 0.173 0.173 0.480
Si: 0.147 0.147 0.560
Si: 0.120 0.120 0.640
Si: 0.093 0.093 0.720
Si: 0.040 0.040 0.880
C: 0.990 0.990 0.030
C: 0.950 0.950 0.150
C: 0.897 0.897 0.309
C: 0.870 0.870 0.390
C: 0.843 0.843 0.471
C: 0.790 0.790 0.630
C: 0.737 0.737 0.790
C: 0.710 0.710 0.870
C: 0.683 0.683 0.950
C: 0.630 0.630 0.110
C: 0.603 0.603 0.190
C: 0.577 0.577 0.270
C: 0.523 0.523 0.431
C: 0.483 0.483 0.550
C: 0.430 0.430 0.710
C: 0.390 0.390 0.830
C: 0.337 0.337 0.990
C: 0.310 0.310 0.070
C: 0.257 0.257 0.230
C: 0.217 0.217 0.350
C: 0.163 0.163 0.510
C: 0.137 0.137 0.590
C: 0.110 0.110 0.670
C: 0.083 0.083 0.750
C: 0.030 0.030 0.910

The most stable arrangement is version 1, and the next structure is 32 meV per atom less stable.

Version 1
First-principles (PBE) data for a geometry-optimized AuO2F6 structure, as listed in the Materials Project.

Properties
symmetry: P-1 (2)
M_tot: 1.00 μB/f.u.

Cell: 5.510 5.575 5.632 Å, 90.38 100.39 103.53°
Sites, in units of the cell vectors:
Au: 0.000 0.000 0.000
O: 0.432 0.550 0.540
O: 0.568 0.450 0.460
F: 0.711 0.083 0.794
F: 0.289 0.917 0.206
F: 0.046 0.818 0.723
F: 0.954 0.182 0.277
F: 0.222 0.301 0.921
F: 0.778 0.699 0.079

Version 2
First-principles (PBE) data for a geometry-optimized AuO2F6 structure, as listed in the Materials Project.

Properties
symmetry: P-1 (2)

Cell: 5.064 5.144 5.236 Å, 83.51 78.67 76.38°
Sites, in units of the cell vectors:
Au: 0.000 0.000 0.000
O: 0.393 0.498 0.474
O: 0.607 0.502 0.526
F: 0.938 0.717 0.816
F: 0.220 0.111 0.674
F: 0.780 0.889 0.326
F: 0.666 0.239 0.909
F: 0.334 0.761 0.091
F: 0.062 0.283 0.184

The most stable arrangement is version 2, and the next structure is 14 meV per atom less stable.

Version 1
First-principles (PBE) data for a geometry-optimized Ca2SnS4 structure, as listed in the Materials Project.

Properties
symmetry: I-4 (82)
maximum piezoelectric response: 0.3 C/m2
M_tot: 0.00 μB/f.u.

Cell: 7.535 7.535 7.535 Å, 133.52 133.52 67.83°
Sites, in units of the cell vectors:
Ca: 0.250 0.750 0.500
Ca: 0.500 0.500 0.000
Sn: 0.750 0.250 0.500
S: 0.867 0.914 0.520
S: 0.394 0.346 0.480
S: 0.086 0.606 0.952
S: 0.654 0.133 0.048

Version 2
First-principles (PBE) data for a geometry-optimized Ca2SnS4 structure, as listed in the Materials Project.

Properties
symmetry: Pnma (62)
M_tot: 0.00 μB/f.u.

Cell: 7.338 8.686 10.977 Å, 90.00 90.00 90.00°
Sites, in units of the cell vectors:
Ca: 0.379 0.495 0.190
Ca: 0.121 0.005 0.690
Ca: 0.621 0.995 0.810
Ca: 0.879 0.505 0.310
Ca: 0.621 0.505 0.810
Ca: 0.879 0.995 0.310
Ca: 0.379 0.005 0.190
Ca: 0.121 0.495 0.690
Sn: 0.389 0.750 0.469
Sn: 0.111 0.750 0.969
Sn: 0.611 0.250 0.531
Sn: 0.889 0.250 0.031
S: 0.606 0.750 0.301
S: 0.894 0.750 0.801
S: 0.394 0.250 0.699
S: 0.106 0.250 0.199
S: 0.403 0.750 0.690
S: 0.097 0.750 0.190
S: 0.597 0.250 0.310
S: 0.903 0.250 0.810
S: 0.224 0.513 0.436
S: 0.276 0.987 0.936
S: 0.776 0.013 0.564
S: 0.724 0.487 0.064
S: 0.776 0.487 0.564
S: 0.724 0.013 0.064
S: 0.224 0.987 0.436
S: 0.276 0.513 0.936

The most stable arrangement is version 2, and the next structure is 155 meV per atom less stable.